No. 1
Here is crystalline Co3C10O9 at its relaxed geometry from Materials Project. Energies are from GGA+U.

Output
* calculated formation energy: -0.654 eV/atom
* total energy: -1937.22 eV for the cell shown
* total magnetization: 0.00 μB per formula unit

a = 9.4434 Å, b = 9.4434 Å, c = 54.4575 Å
α = 90.00°, β = 90.00°, γ = 120.00°
Space group R-3c (No. 167, hexagonal axes)
Symmetry-distinct sites (fractional):
Co 0.0430 0.1672 0.2127 (multiplicity 36)
C 0.0000 0.0000 0.2367 (multiplicity 12)
C 0.0052 0.4254 0.9450 (multiplicity 36)
C 0.0083 0.4437 0.1128 (multiplicity 36)
C 0.0484 0.2022 0.1801 (multiplicity 36)
O 0.0187 0.2241 0.0581 (multiplicity 36)
O 0.0416 0.2048 0.8944 (multiplicity 36)
O 0.0566 0.2325 0.1595 (multiplicity 36)


No. 2
Here is crystalline Cs2CoCu3F10 at its relaxed geometry from Materials Project. Energies are from GGA+U.

Output
* calculated formation energy: -2.183 eV/atom
* total energy: -69.01 eV for the cell shown
* total magnetization: 2.56 μB per formula unit

a = 6.838 Å, b = 6.952 Å, c = 7.313 Å
α = 61.69°, β = 62.14°, γ = 65.49°
Space group P-1 (No. 2)
Symmetry-distinct sites (fractional):
Cs 0.115 0.121 0.127 (multiplicity 2)
Co 0.500 0.500 0.000 (multiplicity 1)
Cu 0.000 0.500 0.500 (multiplicity 1)
Cu 0.500 0.000 0.500 (multiplicity 1)
Cu 0.500 0.500 0.500 (multiplicity 1)
F 0.163 0.552 0.191 (multiplicity 2)
F 0.212 0.710 0.503 (multiplicity 2)
F 0.243 0.236 0.581 (multiplicity 2)
F 0.413 0.427 0.813 (multiplicity 2)
F 0.451 0.838 0.807 (multiplicity 2)


Q: The lowest total magnetization belongs to which entry?
A: Co3C10O9


Q: Which of these has the highest total energy?
A: Cs2CoCu3F10